Here is Fe3SnC after structural relaxation from the Materials Project database. Energies are from PBE-GGA.

Cell: 3.891 3.891 3.891 Å, 90.00 90.00 90.00°
Fractional positions:
Fe (0.500, 0.500, 0.000)
C (0.500, 0.500, 0.500)
Sn (0.000, 0.000, 0.000)
Fe (0.500, 0.000, 0.500)
Fe (0.000, 0.500, 0.500)

**ΔE_f**: 0.069 eV/atom
**Total DFT energy (no corrections)**: -7.660 eV/atom
**Total moment**: 0.06 Bohr magnetons per cell